No. 1
Below is an optimized crystal structure of SrHg3, with properties calculated at the meta-GGA r2SCAN level.

The formation energy is -0.44 eV per atom. Its symmetry is Pmmn. The density comes out at 10.5 g/cm3. The final energy comes out at -41.254 eV per atom.

abc: 5.323 6.856 5.981
angles: 90.00 90.00 90.00
Atoms (fractional coordinates):
Sr (0.250, 0.250, 0.137)
Sr (0.750, 0.750, 0.863)
Hg (0.250, 0.502, 0.652)
Hg (0.250, 0.750, 0.201)
Hg (0.250, 0.998, 0.652)
Hg (0.750, 0.002, 0.348)
Hg (0.750, 0.250, 0.799)
Hg (0.750, 0.498, 0.348)



No. 2
Below is an optimized crystal structure of SrHg2, with properties calculated at the meta-GGA r2SCAN level.

The formation energy is -0.54 eV per atom. Its symmetry is Imma. The density comes out at 9.4 g/cm3. The final energy comes out at -38.500 eV per atom.

abc: 6.397 6.397 6.397
angles: 133.78 104.02 93.78
Atoms (fractional coordinates):
Sr (0.261, 0.011, 0.250)
Sr (0.739, 0.989, 0.750)
Hg (0.151, 0.666, 0.485)
Hg (0.319, 0.334, 0.985)
Hg (0.681, 0.666, 0.015)
Hg (0.849, 0.334, 0.515)



No. 3
Below is an optimized crystal structure of SrTlHg2, with properties calculated at the meta-GGA r2SCAN level.

The formation energy is -0.40 eV per atom. Its symmetry is Fm-3m. The density comes out at 10.3 g/cm3. The final energy comes out at -42.160 eV per atom.

abc: 5.401 5.401 5.401
angles: 60.00 60.00 60.00
Atoms (fractional coordinates):
Sr (0.000, 0.000, 0.000)
Tl (0.500, 0.500, 0.500)
Hg (0.250, 0.250, 0.250)
Hg (0.750, 0.750, 0.750)



No. 4
Below is an optimized crystal structure of TbHg3, with properties calculated at the meta-GGA r2SCAN level.

The formation energy is -0.42 eV per atom. Its symmetry is P6_3/mmc. The density comes out at 13.4 g/cm3. The final energy comes out at -45.254 eV per atom.

abc: 6.625 6.625 4.949
angles: 90.00 90.00 120.00
Atoms (fractional coordinates):
Tb (0.333, 0.667, 0.250)
Tb (0.667, 0.333, 0.750)
Hg (0.165, 0.331, 0.750)
Hg (0.165, 0.835, 0.750)
Hg (0.331, 0.165, 0.250)
Hg (0.669, 0.835, 0.750)
Hg (0.835, 0.165, 0.250)
Hg (0.835, 0.669, 0.250)



No. 5
Below is an optimized crystal structure of TbHg, with properties calculated at the meta-GGA r2SCAN level.

The formation energy is -0.58 eV per atom. Its symmetry is Pm-3m. The density comes out at 11.7 g/cm3. The final energy comes out at -40.878 eV per atom.

abc: 3.711 3.711 3.711
angles: 90.00 90.00 90.00
Atoms (fractional coordinates):
Tb (0.000, 0.000, 0.000)
Hg (0.500, 0.500, 0.500)



No. 6
Below is an optimized crystal structure of Tb2TlHg, with properties calculated at the meta-GGA r2SCAN level.

The formation energy is -0.53 eV per atom. Its symmetry is Fm-3m. The density comes out at 11.5 g/cm3. The final energy comes out at -41.783 eV per atom.

abc: 5.292 5.292 5.292
angles: 60.00 60.00 60.00
Atoms (fractional coordinates):
Tb (0.250, 0.250, 0.250)
Tb (0.750, 0.750, 0.750)
Tl (0.000, 0.000, 0.000)
Hg (0.500, 0.500, 0.500)



No. 7
Below is an optimized crystal structure of TbYHg2, with properties calculated at the meta-GGA r2SCAN level.

The formation energy is -0.59 eV per atom. Its symmetry is Fm-3m. The density comes out at 10.6 g/cm3. The final energy comes out at -38.159 eV per atom.

abc: 5.243 5.243 5.243
angles: 60.00 60.00 60.00
Atoms (fractional coordinates):
Tb (0.000, 0.000, 0.000)
Y (0.500, 0.500, 0.500)
Hg (0.250, 0.250, 0.250)
Hg (0.750, 0.750, 0.750)



No. 8
Below is an optimized crystal structure of HgTe, with properties calculated at the meta-GGA r2SCAN level.

The formation energy is -0.15 eV per atom. Its symmetry is P3_221. The density comes out at 8.3 g/cm3. The final energy comes out at -37.546 eV per atom.

abc: 4.663 4.663 10.408
angles: 90.00 90.00 120.00
Atoms (fractional coordinates):
Hg (0.000, 0.312, 0.333)
Hg (0.312, 0.000, 0.667)
Hg (0.688, 0.688, 0.000)
Te (0.000, 0.486, 0.833)
Te (0.486, 0.000, 0.167)
Te (0.514, 0.514, 0.500)



No. 9
Below is an optimized crystal structure of HgTe, with properties calculated at the meta-GGA r2SCAN level.

The formation energy is -0.19 eV per atom. Its symmetry is F-43m. The density comes out at 7.7 g/cm3. The final energy comes out at -37.583 eV per atom.

abc: 4.653 4.653 4.653
angles: 60.00 60.00 60.00
Atoms (fractional coordinates):
Hg (0.000, 0.000, 0.000)
Te (0.250, 0.250, 0.250)



No. 10
Below is an optimized crystal structure of HgTe, with properties calculated at the meta-GGA r2SCAN level.

The formation energy is -0.15 eV per atom. Its symmetry is P3_121. The density comes out at 8.4 g/cm3. The final energy comes out at -37.546 eV per atom.

abc: 4.655 4.655 10.423
angles: 90.00 90.00 120.00
Atoms (fractional coordinates):
Hg (0.000, 0.684, 0.167)
Hg (0.316, 0.316, 0.500)
Hg (0.684, 0.000, 0.833)
Te (0.000, 0.514, 0.667)
Te (0.486, 0.486, 0.000)
Te (0.514, 0.000, 0.333)



No. 11
Below is an optimized crystal structure of Th3Hg, with properties calculated at the meta-GGA r2SCAN level.

The formation energy is -0.07 eV per atom. Its symmetry is I4/mmm. The density comes out at 12.5 g/cm3. The final energy comes out at -67.521 eV per atom.

abc: 6.100 6.100 6.100
angles: 132.97 132.97 68.70
Atoms (fractional coordinates):
Th (0.000, 0.000, 0.000)
Th (0.250, 0.750, 0.500)
Th (0.750, 0.250, 0.500)
Hg (0.500, 0.500, 0.000)



No. 12
Below is an optimized crystal structure of TiHg, with properties calculated at the meta-GGA r2SCAN level.

The formation energy is -0.11 eV per atom. The density comes out at 11.1 g/cm3. The final energy comes out at -31.258 eV per atom.

abc: 4.101 4.265 4.265
angles: 90.00 90.00 90.00
Atoms (fractional coordinates):
Ti (0.500, 0.000, 0.500)
Ti (0.500, 0.500, 0.000)
Hg (0.000, 0.500, 0.500)
Hg (0.000, 0.000, 0.000)



- What is the final energy in the fourth record?
  -45.254 eV per atom